(1)
Here is a relaxed SrTaNO2 crystal from Materials Project. Energies are from PBE.

calculated total energy: -43.80 eV/f.u.
energy relative to the elements: -1292 kJ/mol of formula units
MP2020-corrected energy: -9.03 eV per atom
space-group type: Pmc2_1 (26)
magnetization: 0.00 μB per atom
piezoelectric modulus e_max: 5.8 C/m2

a b c (Å): 4.0075 5.8241 5.8241
angles (deg): 90.00 90.00 90.00
Element x y z (fractional)
Sr1 0.0000 0.2352 0.0000
Sr2 0.0000 0.7648 0.5000
Ta1 0.5000 0.2670 0.4984
Ta2 0.5000 0.7330 0.9984
N1 0.5000 0.4884 0.7398
N2 0.5000 0.5116 0.2398
O1 0.0000 0.2305 0.4697
O2 0.0000 0.7695 0.9697
O3 0.5000 0.0173 0.1980
O4 0.5000 0.9827 0.6980


(2)
Here is a relaxed SrTaNO2 crystal from Materials Project. Energies are from PBE.

calculated total energy: -43.78 eV/f.u.
energy relative to the elements: -1290 kJ/mol of formula units
MP2020-corrected energy: -9.03 eV per atom
space-group type: P2_1 (4)
magnetization: 0.00 μB per atom
piezoelectric modulus e_max: 16.2 C/m2

a b c (Å): 5.7745 8.0674 5.7952
angles (deg): 90.00 90.38 90.00
Element x y z (fractional)
Sr1 0.0043 0.0000 0.4951
Sr2 0.4946 0.4981 0.0057
Sr3 0.5054 0.9981 0.9943
Sr4 0.9957 0.5000 0.5049
Ta1 0.0042 0.7485 0.0164
Ta2 0.4954 0.2490 0.5164
Ta3 0.5046 0.7490 0.4836
Ta4 0.9958 0.2485 0.9836
N1 0.2364 0.2470 0.7338
N2 0.2634 0.7724 0.2337
N3 0.7366 0.2724 0.7663
N4 0.7636 0.7470 0.2662
O1 0.0295 0.4963 0.0268
O2 0.2227 0.7454 0.7286
O3 0.2767 0.2172 0.2295
O4 0.4744 0.4961 0.4693
O5 0.5256 0.9961 0.5307
O6 0.7233 0.7172 0.7705
O7 0.7773 0.2454 0.2714
O8 0.9705 0.9963 0.9732


(3)
Here is a relaxed SrTaNO2 crystal from Materials Project. Energies are from PBE.

calculated total energy: -43.79 eV/f.u.
energy relative to the elements: -1292 kJ/mol of formula units
MP2020-corrected energy: -9.03 eV per atom
space-group type: Pc (7)
magnetization: 0.00 μB per atom

a b c (Å): 5.7309 5.7217 9.9792
angles (deg): 90.00 124.99 90.00
Element x y z (fractional)
Sr1 0.0000 0.2353 0.0000
Sr2 0.0000 0.7647 0.5000
Sr3 0.5014 0.2622 0.4998
Sr4 0.5014 0.7378 0.9998
Ta1 0.2680 0.2456 0.7604
Ta2 0.2680 0.7544 0.2604
Ta3 0.7362 0.2425 0.2438
Ta4 0.7362 0.7575 0.7438
N1 0.4701 0.2584 0.9959
N2 0.4701 0.7416 0.4959
N3 0.4998 0.0232 0.2634
N4 0.4998 0.9768 0.7634
O1 0.0178 0.4704 0.2237
O2 0.0178 0.5296 0.7237
O3 0.0480 0.2523 0.4929
O4 0.0480 0.7477 0.9929
O5 0.5565 0.4730 0.7665
O6 0.5565 0.5270 0.2665
O7 0.9586 0.0285 0.7238
O8 0.9586 0.9715 0.2238


(4)
Here is a relaxed SrTaNO2 crystal from Materials Project. Energies are from PBE.

calculated total energy: -43.78 eV/f.u.
energy relative to the elements: -1290 kJ/mol of formula units
MP2020-corrected energy: -9.03 eV per atom
space-group type: C2 (5)
magnetization: 0.00 μB per atom
piezoelectric modulus e_max: 1.8 C/m2

a b c (Å): 5.7354 5.7354 8.1760
angles (deg): 90.05 90.05 91.14
Element x y z (fractional)
Sr1 0.0000 0.0000 0.0000
Sr2 0.4843 0.5157 0.5000
Sr3 0.4942 0.5058 0.0000
Sr4 0.9923 0.0077 0.5000
Ta1 0.9998 0.4955 0.7569
Ta2 0.4863 0.0160 0.7552
Ta3 0.5045 0.0002 0.2431
Ta4 0.9840 0.5137 0.2448
N1 0.2235 0.2352 0.7459
N2 0.5170 0.0313 0.0002
N3 0.7648 0.7765 0.2541
N4 0.9687 0.4830 0.9998
O1 0.0241 0.5316 0.4996
O2 0.2171 0.2288 0.2590
O3 0.2672 0.7301 0.2315
O4 0.2699 0.7328 0.7685
O5 0.4684 0.9759 0.5004
O6 0.7184 0.2789 0.2827
O7 0.7211 0.2816 0.7173
O8 0.7712 0.7829 0.7410